Record 1
# K2Sn2O3

Crystalline K2Sn2O3 at its relaxed geometry (PBE, the Materials Project).

a b c (Å): 7.3735 7.3735 7.3735
angles (deg): 109.47 109.47 109.47
Positions (direct):
K 0.5000 0.0000 0.4819
K 0.0181 0.0181 0.0181
K 0.4819 0.5000 0.0000
K 0.0000 0.4819 0.5000
Sn 0.0000 0.0116 0.5000
Sn 0.0116 0.5000 0.0000
Sn 0.4884 0.4884 0.4884
Sn 0.5000 0.0000 0.0116
O 0.9793 0.2293 0.7500
O 0.5207 0.2707 0.2500
O 0.2293 0.7500 0.9793
O 0.7500 0.9793 0.2293
O 0.2500 0.5207 0.2707
O 0.2707 0.2500 0.5207

Formation energy from the elements in eV/atom: -1.748
Piezoelectric modulus e_max in C/m2: 0.0
Energy with MP2020 corrections in eV per atom: -5.3319

***

Record 2
# K2Sn2O3

Crystalline K2Sn2O3 at its relaxed geometry (PBE, the Materials Project).

a b c (Å): 5.9785 5.9785 5.9785
angles (deg): 61.80 61.80 61.80
Positions (direct):
K 0.5000 0.5000 0.5000
K 0.0000 0.0000 0.0000
Sn 0.2409 0.2409 0.2409
Sn 0.7591 0.7591 0.7591
O 0.0000 0.0000 0.5000
O 0.0000 0.5000 0.0000
O 0.5000 0.0000 0.0000

Formation energy from the elements in eV/atom: -1.740
Energy with MP2020 corrections in eV per atom: -5.3236

***

Record 3
# K2SnO6

Crystalline K2SnO6 at its relaxed geometry (PBE, the Materials Project).

a b c (Å): 5.6773 5.6773 5.6773
angles (deg): 77.92 77.92 77.92
Positions (direct):
K 0.6858 0.6858 0.6858
K 0.3142 0.3142 0.3142
Sn 0.0000 0.0000 0.0000
O 0.9088 0.6752 0.1979
O 0.6752 0.1979 0.9088
O 0.1979 0.9088 0.6752
O 0.0912 0.3248 0.8021
O 0.3248 0.8021 0.0912
O 0.8021 0.0912 0.3248

Formation energy from the elements in eV/atom: -0.861
Energy with MP2020 corrections in eV per atom: -4.8522

***

Record 4
# K4SrU3O12

Crystalline K4SrU3O12 at its relaxed geometry (PBE, the Materials Project).

a b c (Å): 7.5998 7.5998 7.5998
angles (deg): 109.47 109.47 109.47
Positions (direct):
K 0.0000 0.5000 0.0000
K 0.5000 0.5000 0.5000
K 0.0000 0.0000 0.5000
K 0.5000 0.0000 0.0000
Sr 0.0000 0.0000 0.0000
U 0.5000 0.5000 0.0000
U 0.5000 0.0000 0.5000
U 0.0000 0.5000 0.5000
O 0.2783 0.0000 0.2783
O 0.0000 0.2783 0.2783
O 0.5000 0.2500 0.7500
O 0.7500 0.5000 0.2500
O 0.2500 0.7500 0.5000
O 0.7500 0.2500 0.5000
O 0.0000 0.7217 0.7217
O 0.2500 0.5000 0.7500
O 0.5000 0.7500 0.2500
O 0.7217 0.0000 0.7217
O 0.7217 0.7217 0.0000
O 0.2783 0.2783 0.0000

Formation energy from the elements in eV/atom: -3.261
Energy with MP2020 corrections in eV per atom: -8.2297